# 1
Li2V2Si5O13 PBE+U relaxed; symmetry = P-1; corrected total energy (MP2020 scheme) = -8.083 eV/atom; E_tot = -330.97 eV/cell
1.0
7.4550 0.0000 0.0000
1.9149 7.3503 0.0000
3.6675 0.2440 9.3160
Li V Si O
4 4 10 26
direct
0.1627 0.4075 0.2453
0.1772 0.0804 0.3750
0.8228 0.9196 0.6250
0.8373 0.5925 0.7547
0.0352 0.1526 0.1005
0.4525 0.8540 0.8992
0.5475 0.1460 0.1008
0.9648 0.8474 0.8995
0.1505 0.2222 0.7648
0.2134 0.6913 0.5440
0.2675 0.7694 0.2308
0.3103 0.4582 0.9088
0.3679 0.2959 0.4563
0.6321 0.7041 0.5437
0.6897 0.5418 0.0912
0.7325 0.2306 0.7692
0.7866 0.3087 0.4560
0.8495 0.7778 0.2352
0.0243 0.7708 0.6800
0.0742 0.6960 0.2407
0.1609 0.0492 0.8768
0.1977 0.4001 0.8107
0.2078 0.4941 0.4958
0.2170 0.8285 0.3991
0.2435 0.6772 0.9274
0.2772 0.3218 0.0510
0.2963 0.1623 0.5998
0.3063 0.9473 0.1258
0.3614 0.2182 0.3165
0.4144 0.6769 0.5723
0.4492 0.5918 0.1891
0.5508 0.4082 0.8109
0.5856 0.3231 0.4277
0.6386 0.7818 0.6835
0.6937 0.0527 0.8742
0.7037 0.8377 0.4002
0.7228 0.6782 0.9490
0.7565 0.3228 0.0726
0.7830 0.1715 0.6009
0.7922 0.5059 0.5042
0.8023 0.5999 0.1893
0.8391 0.9508 0.1232
0.9258 0.3040 0.7593
0.9757 0.2292 0.3200

---

# 2
Mn2OF3 PBE+U relaxed; symmetry = C2/m; corrected total energy (MP2020 scheme) = -7.433 eV/atom; offset from the most stable computed form = 0.253 eV/f.u.; E_tot = -78.37 eV/cell
1.0
4.8573 -3.1935 0.0000
4.8573 3.1935 0.0000
-0.3063 0.0000 4.8421
Mn O F
4 2 6
direct
0.0000 0.0000 0.0000
0.0000 0.5000 0.5000
0.5000 0.0000 0.5000
0.5000 0.5000 0.0000
0.1569 0.1569 0.3082
0.8431 0.8431 0.6918
0.1494 0.6534 0.1979
0.3466 0.8506 0.8021
0.3492 0.3492 0.6931
0.6508 0.6508 0.3069
0.6534 0.1494 0.1979
0.8506 0.3466 0.8021

---

# 3
MgMn12O14F10 PBE+U relaxed; symmetry = P1; corrected total energy (MP2020 scheme) = -7.678 eV/atom; offset from the most stable computed form = 0.000 eV/f.u.; E_tot = -249.82 eV/cell
1.0
4.8511 0.0000 0.0000
-0.1008 5.7873 0.0000
-0.2106 -0.7195 15.1567
Mg Mn O F
1 12 14 10
direct
0.0000 0.0000 0.0000
0.0131 0.4576 0.6524
0.0217 0.4761 0.9835
0.4942 0.9679 0.6614
0.5078 0.9225 0.3363
0.5086 0.2679 0.4981
0.5099 0.2185 0.1650
0.5151 0.7379 0.9947
0.5475 0.2665 0.8400
0.9459 0.7461 0.1681
0.9547 0.4360 0.3293
0.9912 0.7385 0.4856
0.9991 0.8107 0.8098
0.1811 0.7238 0.0594
0.1982 0.6998 0.3824
0.2168 0.4891 0.5468
0.2227 0.7437 0.7098
0.3474 0.5059 0.9089
0.7010 0.9397 0.0900
0.7074 0.0095 0.7693
0.7068 0.2294 0.6077
0.7108 0.9726 0.4420
0.7198 0.1852 0.2789
0.7330 0.6910 0.2699
0.7670 0.4842 0.4368
0.8302 0.2356 0.9264
0.8358 0.7369 0.9245
0.1691 0.4557 0.2172
0.2198 0.2346 0.0617
0.2452 0.9848 0.5525
0.2608 0.9535 0.2272
0.2660 0.2058 0.3878
0.2664 0.2457 0.7407
0.2988 0.9814 0.9041
0.7227 0.4691 0.0858
0.7649 0.7310 0.5945
0.7920 0.5021 0.7619

---

For each record above, in turn, the calculated formation enthalpy at 0 K values are -2926; -2597; -2273 meV per atom.